Entry 1:
CuH16I2O16 | the Materials Project | GGA-PBE | relaxed; DFT total energy = -4.766 eV/atom; symmetry = P2_1/c; DFT formation energy = -1.06 eV per atom; magnetization = 2.0 μB/cell
1.0
-1.2415 2.6537 -4.7753
-10.0353 1.2456 3.3012
-1.4066 10.0271 5.9379
H O I Cu
32 32 4 2
Direct
0.7909 0.7939 0.6615
0.2428 0.8073 0.9752
0.2091 0.2061 0.3385
0.6315 0.0514 0.2744
0.5834 0.6326 0.3975
0.6574 0.5139 0.6768
0.0070 0.1029 0.4005
0.2909 0.2061 0.8385
0.4930 0.1029 0.9005
0.3426 0.4861 0.3232
0.9930 0.8971 0.5995
0.3685 0.9486 0.7256
0.6562 0.8908 0.3438
0.0834 0.3674 0.1025
0.3951 0.7525 0.6073
0.8426 0.5139 0.1768
0.5070 0.8971 0.0995
0.8951 0.2475 0.8927
0.9166 0.6326 0.8975
0.4166 0.3674 0.6025
0.6049 0.2475 0.3927
0.7428 0.1927 0.5248
0.2572 0.8073 0.4752
0.3438 0.1092 0.6562
0.8685 0.0514 0.7744
0.7091 0.7939 0.1615
0.7572 0.1927 0.0248
0.1574 0.4861 0.8232
0.1562 0.1092 0.1562
0.1049 0.7525 0.1073
0.8438 0.8908 0.8438
0.1315 0.9486 0.2256
0.8358 0.9781 0.8548
0.8096 0.1684 0.9528
0.6904 0.1684 0.4528
0.3358 0.0219 0.6452
0.4258 0.3559 0.2791
0.6719 0.8909 0.1295
0.4004 0.5637 0.0579
0.7148 0.6886 0.4132
0.8384 0.4375 0.1454
0.7852 0.6886 0.9132
0.3096 0.8316 0.5472
0.1504 0.7890 0.3556
0.1642 0.0219 0.1452
0.5996 0.4363 0.9421
0.1904 0.8316 0.0472
0.3281 0.1091 0.8705
0.0742 0.3559 0.7791
0.9258 0.6441 0.2209
0.1616 0.5625 0.8546
0.1719 0.1091 0.3705
0.5742 0.6441 0.7209
0.6504 0.2110 0.1444
0.2148 0.3114 0.0868
0.8281 0.8909 0.6295
0.2852 0.3114 0.5868
0.3384 0.5625 0.3546
0.8496 0.2110 0.6444
0.6642 0.9781 0.3548
0.3496 0.7890 0.8556
0.9004 0.4363 0.4421
0.0996 0.5637 0.5579
0.6616 0.4375 0.6454
0.4793 0.6255 0.8767
0.0207 0.6255 0.3767
0.9793 0.3745 0.6233
0.5207 0.3745 0.1233
0.5000 0.0000 0.5000
0.0000 0.0000 0.0000

Entry 2:
Tm2MgNi2 | the Materials Project | GGA-PBE | relaxed; DFT total energy = -4.830 eV/atom; symmetry = P4/mbm; DFT formation energy = -0.41 eV per atom
1.0
7.2363 0.0000 0.0000
0.0000 7.2363 0.0000
0.0000 0.0000 3.7112
Tm Ni Mg
4 4 2
Direct
0.8260 0.6740 0.5000
0.6740 0.1740 0.5000
0.1740 0.3260 0.5000
0.3260 0.8260 0.5000
0.8807 0.3807 0.0000
0.3807 0.1193 0.0000
0.1193 0.6193 0.0000
0.6193 0.8807 0.0000
0.0000 0.0000 0.0000
0.5000 0.5000 0.0000

Entry 3:
Nd2PdO4 | the Materials Project | GGA-PBE | relaxed; DFT total energy = -7.108 eV/atom; symmetry = I4/mmm; DFT formation energy = -2.57 eV per atom; offset from the most stable computed form = 0 meV/atom; magnetization = 0.0 μB/cell
1.0
3.6572 -2.9706 5.2193
-0.6021 -6.1441 3.3657
0.1848 3.3585 -6.1748
O Nd Pd
4 2 1
Direct
0.1914 0.1914 0.0000
0.0000 0.5000 0.5000
0.8086 0.8086 0.0000
0.5000 0.0000 0.5000
0.3628 0.3628 0.0000
0.6372 0.6372 0.0000
0.0000 0.0000 0.0000